An optimized crystal structure of Tb2In3Cu, computed with GGA-PBE.

Geometry as POSCAR:
```
Tb2In3Cu
1.0
3.611 0.000 0.000
0.000 4.785 0.000
0.000 0.000 8.329
Tb In Cu
2 3 1
Direct
0.000 0.000 0.000
0.000 0.500 0.488
0.500 0.000 0.639
0.500 0.500 0.175
0.500 0.500 0.829
0.500 0.000 0.322
```

## Properties
space group	Pmm2 (25)
electronic total energy	-3.989	eV/atom
energy relative to the lowest polymorph listed for this composition	0.019	eV per atom